(1)
PBE-GGA ZnCdC4S4N4, optimized geometry; V = 21.3 Å³ per atom; calculated total energy = -0.232 hartree per atom
1.0
-5.613 5.613 2.363
5.613 -5.613 2.363
5.613 5.613 -2.363
Zn Cd C S N
1 1 4 4 4
Cartesian
0.000 0.000 0.000
5.613 0.000 1.181
3.094 4.780 -0.674
6.446 3.094 0.674
2.519 0.833 1.689
-0.833 2.519 3.037
6.919 1.780 -0.185
1.780 4.307 0.185
3.833 1.306 2.548
-1.306 3.833 2.178
4.062 5.089 -1.267
1.551 0.524 1.096
6.137 4.062 1.267
-0.524 1.551 3.630

***

(2)
PBE-GGA Sm3Sc, optimized geometry; V = 31.7 Å³ per atom; calculated total energy = -0.187 hartree per atom
1.0
7.193 0.000 0.000
-3.596 6.229 0.000
0.000 0.000 5.665
Sm Sc
6 2
Cartesian
0.000 2.111 1.416
-1.768 5.173 1.416
1.829 1.056 4.249
1.768 5.173 1.416
5.364 1.056 4.249
3.596 4.118 4.249
0.000 4.153 4.249
3.596 2.076 1.416

***

(3)
PBE-GGA LuP3O9, optimized geometry; V = 14.2 Å³ per atom; calculated total energy = -0.279 hartree per atom
1.0
6.982 0.000 0.000
0.000 9.710 0.000
-0.334 0.000 10.909
Lu P O
4 12 36
Cartesian
1.054 2.427 5.047
1.838 2.427 10.702
4.810 7.282 0.207
5.594 7.282 5.862
1.208 7.282 1.111
1.778 0.118 2.533
1.778 4.737 2.533
1.987 7.282 6.819
2.031 0.349 7.809
2.031 4.506 7.809
4.617 5.204 3.100
4.617 9.361 3.100
4.660 2.427 4.090
4.870 4.973 8.377
4.870 9.592 8.377
5.439 2.427 9.798
0.047 7.282 0.163
0.825 7.282 5.866
0.932 0.863 3.519
0.932 3.992 3.519
0.977 6.060 2.140
0.977 8.505 2.140
1.379 0.916 6.585
1.379 3.939 6.585
1.670 0.897 9.153
1.670 3.958 9.153
1.815 6.090 7.891
1.815 8.475 7.891
2.243 0.849 1.306
2.243 4.006 1.306
2.613 7.282 0.584
3.030 5.356 3.340
3.030 9.209 3.340
3.263 2.427 4.641
3.384 7.282 6.268
3.618 0.501 7.569
3.618 4.354 7.569
4.034 2.427 10.325
4.405 5.704 9.604
4.405 8.861 9.604
4.833 1.235 3.018
4.833 3.620 3.018
4.977 5.752 1.756
4.977 8.813 1.756
5.269 5.770 4.324
5.269 8.794 4.324
5.670 1.205 8.769
5.670 3.650 8.769
5.716 5.718 7.390
5.716 8.847 7.390
5.823 2.427 5.043
6.600 2.427 10.746

***

(4)
PBE-GGA Ba4Li4Ti19O44, optimized geometry; V = 11.8 Å³ per atom; calculated total energy = -0.307 hartree per atom
1.0
5.863 0.000 0.000
0.006 10.032 0.000
0.022 0.019 14.249
Ba Li Ti O
4 4 19 44
Cartesian
0.000 0.000 0.000
0.047 3.073 7.100
2.914 4.949 4.516
2.978 7.955 11.513
0.030 9.948 8.192
0.034 9.668 6.067
2.939 8.211 5.297
2.965 4.713 12.375
0.036 6.533 12.879
0.039 5.053 10.420
0.068 7.835 3.449
1.454 7.326 8.252
1.469 5.609 1.109
1.502 2.360 10.442
1.496 0.624 3.357
2.905 1.600 5.958
2.920 1.308 12.967
2.955 2.870 1.042
2.960 8.305 1.069
3.073 9.837 8.248
3.081 4.876 8.182
4.397 0.628 3.370
4.417 2.321 10.484
4.417 5.616 1.116
5.752 6.441 5.999
5.848 9.681 10.716
5.867 3.331 3.436
0.009 6.389 2.197
0.029 5.073 14.217
0.017 9.685 4.248
0.018 1.468 2.417
0.043 1.409 9.531
0.043 4.602 4.722
0.103 7.973 6.997
0.146 6.483 9.365
1.313 5.738 11.776
1.303 7.189 4.593
1.440 9.023 9.374
1.467 0.676 11.710
1.457 2.177 4.540
1.458 3.971 2.263
1.496 3.955 9.365
1.489 5.706 7.031
1.506 8.967 2.210
1.533 7.223 14.210
1.628 0.725 7.013
1.712 2.143 14.156
2.828 8.310 7.278
2.860 6.361 9.175
2.910 3.232 6.785
2.941 1.389 2.302
2.943 6.497 2.064
2.950 10.026 4.523
2.957 1.540 9.439
2.964 2.883 11.682
2.945 4.682 0.162
2.967 9.631 13.928
4.197 2.142 14.153
4.290 0.673 7.008
4.357 8.987 2.187
4.386 7.229 14.214
4.411 3.986 9.349
4.410 5.481 6.917
4.422 3.972 2.270
4.455 2.184 4.522
4.468 9.232 9.473
4.480 0.707 11.722
4.594 7.213 4.637
4.617 5.751 11.751
5.879 3.196 11.371
5.879 8.308 11.960

***

(5)
PBE-GGA Er2Re2Si2C, optimized geometry; V = 16.9 Å³ per atom; calculated total energy = -0.307 hartree per atom
1.0
10.897 0.000 0.000
0.000 3.978 0.000
-4.184 0.000 5.467
Er Re Si C
4 4 4 2
Cartesian
-0.466 0.000 1.634
1.730 1.989 3.834
4.983 1.989 1.634
7.179 0.000 3.834
1.870 1.989 0.513
-0.605 0.000 4.954
7.319 0.000 0.513
4.843 1.989 4.954
-1.302 1.989 3.713
2.566 0.000 1.754
4.147 0.000 3.713
8.015 1.989 1.754
0.000 1.989 0.000
5.449 0.000 0.000

***

(6)
PBE-GGA Y2Mg3N4, optimized geometry; V = 14.0 Å³ per atom; calculated total energy = -0.246 hartree per atom
1.0
5.708 -3.626 0.000
5.708 3.626 0.000
-0.220 0.000 6.067
Y Mg N
4 6 8
Cartesian
2.741 0.853 1.330
2.631 -0.853 4.363
8.566 0.853 1.704
8.456 -0.853 4.738
5.653 3.352 1.517
4.912 1.034 3.410
6.174 1.034 5.691
5.022 -1.034 0.376
6.284 -1.034 2.657
5.543 -3.352 4.551
1.348 0.779 3.239
1.458 -0.779 0.206
4.062 0.728 5.421
4.172 -0.728 2.388
7.024 0.728 3.680
7.134 -0.728 0.646
9.739 0.779 5.862
9.849 -0.779 2.828

***

(7)
PBE-GGA ZnPb2N2, optimized geometry; V = 21.7 Å³ per atom; calculated total energy = -0.173 hartree per atom
1.0
3.674 0.000 0.000
-1.837 3.181 0.000
0.000 0.000 9.267
Zn Pb N
1 2 2
Cartesian
0.000 0.000 0.000
0.000 2.121 2.901
1.837 1.060 6.366
0.000 0.000 1.838
0.000 0.000 7.429

***

(8)
PBE-GGA Mg6CdC, optimized geometry; V = 20.5 Å³ per atom; calculated total energy = -0.075 hartree per atom
1.0
4.618 0.000 0.000
0.000 6.382 0.000
0.000 0.000 11.146
Mg Cd C
12 2 2
Cartesian
0.000 0.000 0.000
0.000 1.342 3.066
0.000 1.849 8.639
0.000 3.191 5.573
0.000 4.533 8.639
0.000 5.041 3.066
2.309 0.000 9.192
2.309 1.557 0.991
2.309 1.634 6.564
2.309 3.191 3.619
2.309 4.748 6.564
2.309 4.825 0.991
0.000 0.000 5.975
0.000 3.191 0.402
2.309 0.000 2.602
2.309 3.191 8.175

***

(9)
PBE-GGA Sr3Dy, optimized geometry; V = 46.5 Å³ per atom; calculated total energy = -0.081 hartree per atom
1.0
8.096 0.000 0.000
-4.048 7.011 0.000
0.000 0.000 6.554
Sr Dy
6 2
Cartesian
0.000 2.408 1.638
-1.962 5.807 1.638
2.086 1.204 4.915
1.962 5.807 1.638
6.010 1.204 4.915
4.048 4.603 4.915
0.000 4.674 4.915
4.048 2.337 1.638

***

(10)
PBE-GGA SiO2, optimized geometry; V = 31.9 Å³ per atom; calculated total energy = -0.286 hartree per atom
1.0
-10.471 10.471 10.471
10.471 -10.471 10.471
10.471 10.471 -10.471
Si O
48 96
Cartesian
15.338 1.629 -1.346
10.840 -6.582 6.865
10.103 -3.889 6.865
16.075 1.629 1.346
17.053 3.606 -0.368
9.125 -5.604 8.842
8.842 9.125 -5.604
6.865 -0.368 3.889
14.360 3.606 0.368
11.818 -4.867 8.842
6.865 10.840 -6.582
8.842 -1.346 5.604
6.865 10.103 -3.889
8.842 1.346 4.867
3.889 6.865 -0.368
11.818 4.867 1.629
8.842 11.818 -4.867
6.865 0.368 6.582
6.582 6.865 0.368
9.125 5.604 1.629
5.604 8.842 -1.346
10.103 3.889 3.606
4.867 8.842 1.346
10.840 6.582 3.606
-0.368 3.889 6.865
5.604 1.629 9.125
0.368 6.582 6.865
4.867 1.629 11.818
1.346 4.867 8.842
3.889 3.606 10.103
3.606 10.103 3.889
1.629 -1.346 15.338
-1.346 5.604 8.842
6.582 3.606 10.840
1.629 9.125 5.604
3.606 0.368 14.360
1.629 11.818 4.867
3.606 -0.368 17.053
-1.346 15.338 1.629
-3.889 6.865 10.103
3.606 10.840 6.582
1.629 1.346 16.075
1.346 16.075 1.629
-6.582 6.865 10.840
-5.604 8.842 9.125
0.368 14.360 3.606
-0.368 17.053 3.606
-4.867 8.842 11.818
15.707 0.735 0.000
10.471 -5.236 5.971
16.635 2.620 -1.634
9.543 -6.869 7.855
14.073 2.616 -0.928
12.105 -6.163 7.851
9.772 7.853 -5.935
5.935 -0.699 2.618
7.855 9.543 -6.869
7.851 -1.634 4.308
9.772 -2.618 5.935
16.406 0.699 2.618
8.837 -4.308 7.851
17.340 2.616 0.928
7.853 -5.935 9.772
14.779 2.620 1.634
11.399 -3.602 7.855
15.707 4.500 0.000
10.471 -5.236 9.736
7.851 8.837 -4.308
7.855 0.928 3.602
5.971 10.471 -5.236
2.618 5.935 -0.699
9.736 10.471 -5.236
5.971 0.000 5.236
13.089 4.536 0.699
9.736 0.000 5.236
7.851 12.105 -6.163
7.855 -0.928 6.869
5.236 5.971 0.000
10.471 5.236 0.735
4.308 7.851 -1.634
11.399 3.602 2.616
7.853 5.935 0.699
6.869 7.855 -0.928
8.837 4.308 2.620
5.935 9.772 -2.618
9.772 2.618 4.536
7.855 11.399 -3.602
7.851 1.634 6.163
-0.699 2.618 5.935
5.935 0.699 7.853
3.602 7.855 0.928
12.105 6.163 2.620
6.163 7.851 1.634
9.543 6.869 2.616
5.236 9.736 0.000
10.471 5.236 4.500
0.000 5.236 5.971
5.236 0.735 10.471
0.928 3.602 7.855
4.308 2.620 8.837
-1.634 4.308 7.851
6.869 2.616 9.543
4.536 9.772 2.618
11.171 7.853 4.536
2.620 8.837 4.308
2.616 -0.928 14.073
0.699 7.853 5.935
4.536 0.699 13.089
1.634 6.163 7.851
3.602 2.616 11.399
2.618 4.536 9.772
-0.928 6.869 7.855
6.163 2.620 12.105
0.000 5.236 9.736
5.236 4.500 10.471
2.616 11.399 3.602
2.620 -1.634 16.635
0.735 10.471 5.236
-2.618 5.935 9.772
4.500 10.471 5.236
0.735 0.000 15.707
7.853 4.536 11.171
4.500 0.000 15.707
2.616 9.543 6.869
2.620 1.634 14.779
0.000 15.707 0.735
-5.236 5.971 10.471
-0.928 14.073 2.616
-4.308 7.851 8.837
2.618 16.406 0.699
-6.869 7.855 9.543
1.634 14.779 2.620
-5.935 9.772 7.853
0.699 13.089 4.536
2.620 12.105 6.163
2.616 0.928 17.340
4.536 11.171 7.853
0.699 2.618 16.406
-1.634 16.635 2.620
-3.602 7.855 11.399
0.928 17.340 2.616
-6.163 7.851 12.105
0.000 15.707 4.500
-5.236 9.736 10.471

***

(11)
PBE-GGA Mg2Si, optimized geometry; V = 19.8 Å³ per atom; calculated total energy = -0.103 hartree per atom
1.0
5.883 0.000 0.000
2.408 5.478 0.000
1.282 2.235 7.377
Mg Si
8 4
Cartesian
0.000 0.000 0.000
2.789 4.875 7.003
1.676 1.562 2.431
3.813 4.039 2.460
5.260 6.251 5.002
5.340 5.215 0.065
4.612 1.154 2.544
7.274 3.823 4.604
4.471 3.357 5.129
5.643 4.595 7.170
6.797 4.018 1.922
8.342 6.782 4.935